Below is crystalline Li2CrNiO4 at its relaxed geometry, with properties calculated at the PBE with a Hubbard U level.

```
8
Lattice="-2.0275 2.0275 4.2944 2.0275 -2.0275 4.2944 2.0275 2.0275 -4.2944" Properties=species:S:1:pos:R:3 pbc="T T T"
Li 0.0000 0.0000 0.0000
Li 0.0000 2.0275 2.1472
Cr 2.0275 0.0000 2.1472
Ni 0.0000 0.0000 4.2944
O 2.0275 0.0000 0.1526
O 0.0000 0.0000 2.3098
O 2.0275 0.0000 4.1419
O 0.0000 0.0000 6.2790
```

Properties
As for the energy relative to the elements: -15.4 eV per formula unit. The total energy is -5.8934 eV/atom.

***

Below is crystalline Li3Mn2CoO6 at its relaxed geometry, with properties calculated at the PBE with a Hubbard U level.

```
12
Lattice="7.6997 -1.4358 0.0000 7.6997 1.4358 0.0000 -1.4700 0.0000 5.1562" Properties=species:S:1:pos:R:3 pbc="T T T"
Li 0.0000 0.0000 0.0000
Li 4.1741 0.0000 3.4307
Li 9.7553 0.0000 1.7254
Mn 1.3465 0.0000 4.2163
Mn 12.5828 0.0000 0.9399
Co 6.9647 0.0000 2.5781
O 0.5820 0.0000 2.0819
O 3.5872 0.0000 1.2755
O 6.1812 0.0000 0.6019
O 7.7482 0.0000 4.5543
O 10.3422 0.0000 3.8806
O 13.3474 0.0000 3.0742
```

Properties
Its energy relative to the lowest polymorph listed for this composition is 47.3 meV per atom. As for the energy relative to the elements: -23.5 eV per formula unit. The total energy is -6.2687 eV/atom.

***

Below is crystalline VCoO4 at its relaxed geometry, with properties calculated at the PBE with a Hubbard U level.

```
12
Lattice="-2.8442 2.9169 3.9076 2.8442 -2.9169 3.9076 2.8442 2.9169 -3.9076" Properties=species:S:1:pos:R:3 pbc="T T T"
V 0.0000 1.4585 0.9708
V 2.8442 1.4585 2.9368
Co 2.8442 0.0000 0.0000
Co 0.0000 0.0000 3.9076
O 1.5650 1.4585 -0.0067
O 4.1235 1.4585 -0.0067
O 2.8442 0.1211 1.9054
O 0.0000 0.1211 2.0021
O 2.8442 2.7958 1.9054
O 0.0000 2.7958 2.0021
O -1.2793 1.4585 3.9142
O 1.2793 1.4585 3.9142
```

Properties
As for the energy relative to the elements: -10.6 eV per formula unit. The total energy is -6.7431 eV/atom.

***

Below is crystalline MgV2Co2O8 at its relaxed geometry, with properties calculated at the PBE with a Hubbard U level.

```
13
Lattice="5.2510 -2.8809 0.0000 5.2510 2.8809 0.0000 -3.2051 0.0000 5.1450" Properties=species:S:1:pos:R:3 pbc="T T T"
Mg 0.0000 0.0000 0.0000
V 0.0770 0.0000 2.4827
V 7.2199 0.0000 2.6623
Co 5.2510 0.0000 0.0000
Co 3.6484 0.0000 2.5725
O 2.7411 1.5224 3.6598
O 1.5579 0.0000 1.6463
O 4.5557 1.5224 1.4852
O 0.3175 0.0000 4.1681
O 6.9793 0.0000 0.9769
O 2.7411 -1.5224 3.6598
O 5.7389 0.0000 3.4987
O 4.5557 -1.5224 1.4852
```

Properties
Its energy relative to the lowest polymorph listed for this composition is 266.1 meV per atom. As for the energy relative to the elements: -24.4 eV per formula unit. The total energy is -6.6028 eV/atom.

***

Below is crystalline BaYMgMnCuO5 at its relaxed geometry, with properties calculated at the PBE with a Hubbard U level.

```
10
Lattice="2.7984 -2.7985 0.0000 2.7984 2.7985 0.0000 -0.0324 0.0000 9.6084" Properties=species:S:1:pos:R:3 pbc="T T T"
Ba 0.0000 0.0000 0.0000
Y -0.0041 0.0000 3.5027
Mg 5.5749 0.0000 6.2477
Mn 2.7771 0.0000 6.6752
Cu 2.7933 0.0000 2.2259
O 1.3937 1.3990 2.3756
O 4.1766 -1.4001 5.6981
O 1.3937 -1.3990 2.3756
O 4.1766 1.4001 5.6981
O 2.7708 0.0000 8.7520
```

Properties
Its energy relative to the lowest polymorph listed for this composition is 137.4 meV per atom. As for the energy relative to the elements: -22.1 eV per formula unit. The total energy is -6.4990 eV/atom.

***

Below is crystalline Ga2WO6 at its relaxed geometry, with properties calculated at the PBE with a Hubbard U level.

```
36
Lattice="7.1268 -6.3375 0.0000 7.1268 6.3375 0.0000 -0.5214 0.0000 5.0123" Properties=species:S:1:pos:R:3 pbc="T T T"
Ga 1.4693 0.9480 3.9950
Ga 6.7358 4.3694 3.7592
Ga 1.7300 -0.9480 1.4888
Ga 6.9965 2.4891 1.2531
Ga 6.7358 -2.4891 3.7592
Ga 12.0022 0.9480 3.5235
Ga 6.9965 -4.3694 1.2531
Ga 12.2629 -0.9480 1.0173
W 4.4017 2.2168 3.0620
W 9.0698 2.2168 4.4564
W 4.6624 -2.2168 0.5559
W 9.3305 -2.2168 1.9502
O 1.2165 0.6639 0.6278
O 3.3292 2.5234 1.4848
O 5.7808 3.9741 2.0584
O 0.9558 -0.6639 3.1339
O 3.3469 0.9294 3.8487
O 5.5222 2.8406 4.4986
O 8.2121 3.9741 0.4477
O 5.7153 1.3325 2.1107
O 3.6076 -0.9294 1.3426
O 7.9494 2.8406 3.0199
O 3.0686 -2.5234 3.9909
O 8.2776 1.3325 0.3955
O 5.4546 -1.3325 4.6168
O 10.6637 2.5234 1.0213
O 5.7829 -2.8406 1.9924
O 10.1246 0.9294 3.6697
O 8.0169 -1.3325 2.9016
O 5.5201 -3.9741 4.5646
O 8.2101 -2.8406 0.5137
O 10.3853 -0.9294 1.1636
O 12.7764 0.6639 1.8784
O 7.9514 -3.9741 2.9539
O 10.4030 -2.5234 3.5275
O 12.5157 -0.6639 4.3845
```

Properties
Its energy relative to the lowest polymorph listed for this composition is 30.6 meV per atom. As for the energy relative to the elements: -19.4 eV per formula unit. The total energy is -6.6192 eV/atom.

***

Below is crystalline KVH6SeO9 at its relaxed geometry, with properties calculated at the PBE with a Hubbard U level.

```
36
Lattice="6.4662 0.0000 0.0000 0.0000 10.1411 0.0000 -2.0475 0.0000 6.3793" Properties=species:S:1:pos:R:3 pbc="T T T"
K 0.8862 0.0000 1.1676
K 3.5325 5.0706 5.2117
V -0.0744 3.5557 2.4760
V 4.4931 8.6263 3.9033
H -1.1174 1.1774 4.2295
H 0.5968 6.2168 1.6266
H 0.3038 5.6517 4.3768
H 0.2248 4.3413 5.2051
H 2.3205 7.1366 0.5101
H 1.7270 2.1085 4.3669
H 2.6917 7.1791 2.0124
H 2.0982 2.0661 5.8693
H 4.1939 9.4119 1.1742
H 4.1150 0.5811 2.0026
H 3.8220 1.1462 4.7527
H 5.5361 6.2480 2.1498
Se 1.2803 8.5875 4.6842
Se 3.1385 3.5169 1.6951
O -0.0536 3.0274 0.9108
O -0.2385 5.6677 1.7245
O -0.0118 8.9414 3.6316
O 0.0635 2.1563 3.4042
O -0.1520 4.7707 4.3931
O 1.9225 7.2565 1.3976
O 1.8605 4.1009 2.6580
O 1.3647 6.9567 4.9694
O 1.1646 9.4436 6.0867
O 3.2542 4.3730 0.2927
O 3.0540 1.8862 1.4100
O 2.5582 9.1715 3.7213
O 2.4963 2.1859 4.9817
O 4.5707 9.8413 1.9862
O 4.3552 7.2269 2.9751
O 4.4305 3.8708 2.7477
O 4.6572 0.5972 4.6548
O 4.4724 8.0980 5.4685
```

Properties
As for the energy relative to the elements: -27.8 eV per formula unit. The total energy is -5.4709 eV/atom.

***

Below is crystalline LiMnAlO4 at its relaxed geometry, with properties calculated at the PBE with a Hubbard U level.

```
28
Lattice="9.3544 0.0000 0.0000 0.0000 2.8713 0.0000 0.0000 0.0000 10.0869" Properties=species:S:1:pos:R:3 pbc="T T T"
Li 0.6963 0.7178 1.2415
Li 3.9809 2.1535 6.2849
Li 5.3735 0.7178 3.8020
Li 8.6581 2.1535 8.8454
Mn 2.1246 2.1535 8.5503
Mn 2.5527 0.7178 3.5069
Mn 6.8018 2.1535 6.5800
Mn 7.2299 0.7178 1.5365
Al 0.0307 0.7178 6.3184
Al 4.6465 2.1535 1.2749
Al 4.7079 0.7178 8.8120
Al 9.3237 2.1535 3.7685
O 0.7949 2.1535 7.2061
O 0.9685 0.7178 4.6674
O 1.2290 0.7178 9.4387
O 1.5279 2.1535 2.6013
O 3.1494 0.7178 7.6448
O 3.4483 2.1535 4.3952
O 3.7087 2.1535 9.7109
O 3.8823 0.7178 2.1626
O 5.4721 2.1535 7.9242
O 5.6457 0.7178 0.3760
O 5.9062 0.7178 5.6917
O 6.2051 2.1535 2.4421
O 7.8266 0.7178 7.4856
O 8.1255 2.1535 0.6482
O 8.3859 2.1535 5.4195
O 8.5596 0.7178 2.8808
```

Properties
Its energy relative to the lowest polymorph listed for this composition is 0.0 meV per atom. As for the energy relative to the elements: -17.8 eV per formula unit. The total energy is -6.8515 eV/atom.

***

Below is crystalline Li3FeP2O8 at its relaxed geometry, with properties calculated at the PBE with a Hubbard U level.

```
56
Lattice="8.2179 0.0000 0.0000 0.0000 10.3672 0.0000 -2.1575 0.0000 8.0289" Properties=species:S:1:pos:R:3 pbc="T T T"
Li 0.0000 0.8909 0.0000
Li -1.0787 9.4762 4.0144
Li -0.8614 4.2014 4.5928
Li 0.2173 6.1657 0.5783
Li 0.2879 1.0676 6.0714
Li 1.3667 9.2996 2.0569
Li 5.6857 0.9498 2.0754
Li 4.6070 9.4173 6.0899
Li 4.7751 4.2846 6.5202
Li 5.8539 6.0826 2.5058
Li 6.7827 3.4309 1.0590
Li 5.7039 6.9362 5.0734
Fe 1.8907 4.2992 2.5949
Fe 0.8120 6.0680 6.6094
Fe 3.0478 0.9797 4.0867
Fe 4.1265 9.3875 0.0723
P 0.1718 1.6541 3.0901
P -0.9069 8.7131 7.1046
P -0.6696 3.5393 7.6866
P 0.4091 6.8278 3.6722
P 3.3349 1.6038 7.0459
P 4.4137 8.7634 3.0315
P 4.7745 3.5340 3.5652
P 3.6957 6.8331 7.5796
O 0.1367 4.2139 0.0054
O -0.9420 6.1533 4.0199
O -0.5007 1.0165 4.2953
O 0.5781 9.3506 0.2809
O -0.7628 2.0773 7.3063
O 0.3160 8.2899 3.2918
O 0.5014 3.1784 3.3849
O -0.5774 7.1888 7.3993
O -0.0130 4.3497 6.4846
O 1.0657 6.0175 2.4702
O 1.5647 0.9174 2.8474
O 0.4859 9.4498 6.8619
O 2.4390 3.7291 0.8969
O 1.3603 6.6380 4.9114
O 2.3384 1.5016 5.7941
O 3.4171 8.8656 1.7796
O 3.3595 4.1983 3.7324
O 2.2808 6.1688 7.7469
O 4.7501 0.8181 0.1930
O 3.6713 9.5491 4.2075
O 4.4509 1.9900 3.2804
O 3.3722 8.3772 7.2949
O 3.5672 3.0347 7.4732
O 4.6460 7.3324 3.4588
O 5.5615 4.1026 2.3919
O 4.4828 6.2645 6.4063
O 4.6059 0.8387 6.6833
O 5.6846 9.5284 2.6688
O 5.5257 3.6931 4.8794
O 6.6044 6.6741 0.8649
O 7.5451 1.5811 1.8027
O 6.4663 8.7860 5.8171
```

Properties
Its energy relative to the lowest polymorph listed for this composition is 14.3 meV per atom. As for the energy relative to the elements: -35.7 eV per formula unit. The total energy is -6.6087 eV/atom.

***

Below is crystalline SiMoP3O11 at its relaxed geometry, with properties calculated at the PBE with a Hubbard U level.

```
64
Lattice="4.3176 2.4928 13.5774 -4.3176 2.4928 13.5774 0.0000 -4.9856 13.5774" Properties=species:S:1:pos:R:3 pbc="T T T"
Si 0.0000 0.0000 1.5986
Si 0.0000 0.0000 18.7675
Si 0.0000 0.0000 21.9646
Si 0.0000 0.0000 39.1336
Mo 0.0000 0.0000 6.4965
Mo 0.0000 0.0000 13.8696
Mo 0.0000 0.0000 26.8625
Mo 0.0000 0.0000 34.2357
P -3.0572 -0.2283 15.5062
P -2.9867 -0.2690 18.4372
P -1.2604 -2.7211 22.2949
P -1.3309 -2.7618 25.2259
P 1.7263 -2.5335 15.5062
P 1.7263 -2.4521 18.4372
P -1.7263 2.4521 22.2949
P -1.7263 2.5335 25.2259
P 1.3309 2.7618 15.5062
P 1.2604 2.7211 18.4372
P 2.9867 0.2690 22.2949
P 3.0572 0.2283 25.2259
O 0.0000 0.0000 0.0000
O -2.7004 -2.9872 21.9741
O -0.9590 -1.6610 10.1830
O -2.9333 -1.4439 19.3813
O -3.9372 0.8450 18.7580
O -3.3071 1.3306 15.7242
O -2.8059 -2.1988 25.0079
O -1.6172 -0.4944 15.1854
O -0.2162 -1.7234 12.5926
O 0.5013 -3.5293 15.7242
O -1.3844 1.0489 12.5926
O -0.9590 1.6610 10.1830
O -0.2162 -3.2622 21.3509
O -1.5118 0.2940 18.2192
O -2.7171 1.8184 21.3509
O 1.2368 -3.8322 18.7580
O -1.0105 -1.1622 22.5129
O 0.5013 -1.4562 18.2192
O 1.2368 -1.1534 15.1854
O -1.6006 -0.6744 28.1396
O 1.9180 0.0000 10.1830
O -0.3804 -1.6478 25.5467
O 0.0000 0.0000 20.3661
O 0.3804 1.6478 15.1854
O -1.9180 0.0000 30.5491
O 1.6006 0.6744 12.5926
O -1.2368 1.1534 25.5467
O -0.5013 1.4562 22.5129
O 1.0105 1.1622 18.2192
O -1.2368 3.8322 21.9741
O 2.7171 -1.8184 19.3813
O 1.5118 -0.2940 22.5129
O 0.2162 3.2622 19.3813
O 0.9590 -1.6610 30.5491
O 1.3844 -1.0489 28.1396
O -0.5013 3.5293 25.0079
O 0.2162 1.7234 28.1396
O 1.6172 0.4944 25.5467
O 2.8059 2.1988 15.7242
O 3.3071 -1.3306 25.0079
O 3.9372 -0.8450 21.9741
O 2.9333 1.4439 21.3509
O 0.9590 1.6610 30.5491
O 2.7004 2.9872 18.7580
```

Properties
As for the energy relative to the elements: -43.0 eV per formula unit. The total energy is -7.4476 eV/atom.

***

Below is crystalline CaCrP2O7 at its relaxed geometry, with properties calculated at the PBE with a Hubbard U level.

```
44
Lattice="-3.4787 -4.4114 -3.2959 -1.3698 -7.6021 9.5063 -6.1579 3.5614 0.4004" Properties=species:S:1:pos:R:3 pbc="T T T"
O -5.4738 -1.6978 -0.4340
O -3.2585 -0.6514 0.3195
O -5.4305 0.0532 1.4303
O -3.9836 -5.7807 1.3380
O -10.1399 -6.7740 5.0592
O -7.9265 -1.1727 2.4922
O -8.3070 -4.2256 6.8505
O -8.3022 -1.9443 -2.4862
O -4.5431 -2.2048 1.8964
O -7.7468 -7.7998 6.2917
O -4.6304 -3.6990 6.5049
O -5.0987 -0.9255 4.5443
O -0.8657 -1.6781 1.5521
O -2.6991 -4.2264 -0.2391
O -6.4633 -6.2480 4.7134
O -5.9099 -7.5281 2.0647
O -2.7033 -6.5070 9.0984
O -4.4624 -9.7460 7.1217
O -7.9696 -2.9236 0.6280
O -6.3764 -4.7541 0.1055
O -6.8576 -4.1649 2.5680
O -3.0792 -7.2806 4.1196
O -3.0369 -5.5296 5.9829
O -5.5320 -6.7532 7.0452
O -6.5430 1.2947 -0.5101
O -5.5757 -8.5054 5.1811
O -4.1504 -4.2892 4.0418
O -7.0222 -2.6715 5.2717
Ca -2.3507 -2.6563 3.0199
Ca -6.1138 -4.6761 7.9746
Ca -4.8924 -3.7755 -1.3626
Ca -8.6565 -5.7963 3.5900
Cr -7.3854 -0.4239 -1.3837
Cr -4.9929 -6.0093 3.1685
Cr -3.6207 -8.0241 7.9950
Cr -6.0146 -2.4408 3.4416
P -5.9919 1.4632 0.9238
P -8.7694 -1.6814 1.3261
P -3.5992 -4.1200 5.4756
P -5.0137 -9.9149 5.6877
P -7.4086 -4.3338 1.1340
P -4.6312 -1.1888 0.7316
P -6.3751 -7.2628 5.8791
P -2.2358 -6.7713 5.2848
```

Properties
Its energy relative to the lowest polymorph listed for this composition is 3.4 meV per atom. As for the energy relative to the elements: -31.6 eV per formula unit. The total energy is -7.4425 eV/atom.

***

Below is crystalline Mg3CrO4 at its relaxed geometry, with properties calculated at the PBE with a Hubbard U level.

```
8
Lattice="4.3151 0.0000 0.0000 0.0000 4.3151 0.0000 0.0000 0.0000 4.3151" Properties=species:S:1:pos:R:3 pbc="T T T"
Mg 0.0000 0.0000 2.1575
Mg 0.0000 2.1575 0.0000
Mg 2.1575 0.0000 0.0000
Cr 2.1575 2.1575 2.1575
O 0.0000 0.0000 0.0000
O 0.0000 2.1575 2.1575
O 2.1575 0.0000 2.1575
O 2.1575 2.1575 0.0000
```

Properties
As for the energy relative to the elements: -21.5 eV per formula unit. The total energy is -6.3732 eV/atom.

***

> What is the energy relative to the elements in the eighth record?

-17.8 eV per formula unit

***

> Which value of energy relative to the elements does entry 9 give?

-35.7 eV per formula unit

***

> Look up the energy relative to the elements of the fourth one.

-24.4 eV per formula unit